Record 1
Compound: DyMg2
Source: the Materials Project database
Functional: PBE
Structure: relaxed

Cell: 6.0560 6.0560 9.7854 Å, 90.00 90.00 120.00°
With the nearest neighbours (Å) after each atom.
Fractional positions:
Dy1 0.3333 0.6667 0.5640  12 Mg 3.51-3.55, 4 Dy 3.64-3.71
Dy2 0.6667 0.3333 0.0640  12 Mg 3.51-3.55, 4 Dy 3.64-3.71
Dy3 0.6667 0.3333 0.4360  12 Mg 3.51-3.55, 4 Dy 3.64-3.71
Dy4 0.3333 0.6667 0.9360  12 Mg 3.51-3.55, 4 Dy 3.64-3.71
Mg1 0.6579 0.8289 0.2500  6 Mg 2.95-3.11
Mg2 0.8289 0.1711 0.7500  6 Mg 2.95-3.11
Mg3 0.8289 0.6579 0.7500  6 Mg 2.95-3.11
Mg4 0.1711 0.3421 0.2500  6 Mg 2.95-3.11
Mg5 0.0000 0.0000 0.0000  6 Mg 3.03
Mg6 0.0000 0.0000 0.5000  6 Mg 3.03
Mg7 0.3421 0.1711 0.7500  6 Mg 2.95-3.11
Mg8 0.1711 0.8289 0.2500  6 Mg 2.95-3.11

Values from the calculation:
Space group: P6_3/mmc
Density (Mg/m³): 4.51
E (eV per atom): -2.66

Record 2
Compound: RuN5Cl3
Source: the Materials Project database
Functional: PBE
Structure: relaxed

Cell: 7.5341 6.1984 16.6033 Å, 90.00 90.00 90.00°
With the nearest neighbours (Å) after each atom.
Fractional positions:
Ru1 0.6520 0.7500 0.3507  2 N 1.70-1.71
Ru2 0.8480 0.7500 0.8507  2 N 1.70-1.71
Ru3 0.3480 0.2500 0.6493  2 N 1.70-1.71
Ru4 0.1520 0.2500 0.1493  2 N 1.70-1.71
N1 0.8711 0.7500 0.5689  2 Cl 1.68
N2 0.6289 0.7500 0.0689  2 Cl 1.68
N3 0.1289 0.2500 0.4311  2 Cl 1.68
N4 0.3711 0.2500 0.9311  2 Cl 1.68
N5 0.4574 0.7500 0.2984  1 Ru 1.70
N6 0.0426 0.7500 0.7984  1 Ru 1.70
N7 0.5426 0.2500 0.7016  1 Ru 1.70
N8 0.9574 0.2500 0.2016  1 Ru 1.70
N9 0.8307 0.7500 0.2868  1 Ru 1.71
N10 0.6693 0.7500 0.7868  1 Ru 1.71
N11 0.1693 0.2500 0.7132  1 Ru 1.71
N12 0.3307 0.2500 0.2132  1 Ru 1.71
N13 0.6668 0.9889 0.4237  1 Cl 1.65
N14 0.8332 0.5111 0.9237  1 Cl 1.65
N15 0.3332 0.4889 0.5763  1 Cl 1.65
N16 0.1668 0.0111 0.0763  1 Cl 1.65
N17 0.3332 0.0111 0.5763  1 Cl 1.65
N18 0.1668 0.4889 0.0763  1 Cl 1.65
N19 0.6668 0.5111 0.4237  1 Cl 1.65
N20 0.8332 0.9889 0.9237  1 Cl 1.65
Cl1 0.1905 0.7500 0.0615  2 N 1.65
Cl2 0.3095 0.7500 0.5615  2 N 1.65
Cl3 0.8095 0.2500 0.9385  2 N 1.65
Cl4 0.6905 0.2500 0.4385  2 N 1.65
Cl5 0.1285 0.0249 0.3746  1 N 1.68
Cl6 0.3715 0.4751 0.8746  1 N 1.68
Cl7 0.8715 0.5249 0.6254  1 N 1.68
Cl8 0.6285 0.9751 0.1254  1 N 1.68
Cl9 0.8715 0.9751 0.6254  1 N 1.68
Cl10 0.6285 0.5249 0.1254  1 N 1.68
Cl11 0.1285 0.4751 0.3746  1 N 1.68
Cl12 0.3715 0.0249 0.8746  1 N 1.68

Values from the calculation:
Space group: Pnma
Density (Mg/m³): 2.38
E (eV per atom): -4.90

Record 3
Compound: SrLiU2O6
Source: the Materials Project database
Functional: PBE
Structure: relaxed

Cell: 3.9097 11.8236 6.8842 Å, 29.15 55.38 60.26°
With the nearest neighbours (Å) after each atom.
Fractional positions:
Sr1 0.0000 0.6667 0.0000  8 O 2.53-2.55
Li1 0.5000 0.6667 0.5000  8 O 2.29-2.39
U1 0.0000 0.0179 0.9732  8 O 2.31-2.35
U2 0.0000 0.3155 0.0268  8 O 2.31-2.35
O1 0.2702 0.3179 0.2528  3 U 2.31-2.35, 1 Li 2.39, 1 Sr 2.53
O2 0.2121 0.6667 0.2880  2 Li 2.29, 2 U 2.35, 1 O 2.40, 2 Sr 2.55
O3 0.7298 0.0154 0.7472  3 U 2.31-2.35, 1 Li 2.39, 1 Sr 2.53
O4 0.2702 0.0154 0.2066  3 U 2.31-2.35, 1 Li 2.39, 1 Sr 2.53
O5 0.7298 0.3179 0.7934  3 U 2.31-2.35, 1 Li 2.39, 1 Sr 2.53
O6 0.7879 0.6667 0.7120  2 Li 2.29, 2 U 2.35, 1 O 2.40, 2 Sr 2.55

Values from the calculation:
Space group: Immm
Density (Mg/m³): 8.68
E (eV per atom): -8.45

Record 4
Compound: Al13Cu3S24
Source: the Materials Project database
Functional: PBE
Structure: relaxed

Cell: 7.0168 7.0168 17.2611 Å, 89.79 89.79 60.38°
With the nearest neighbours (Å) after each atom.
Fractional positions:
Al1 0.3392 0.8216 0.1628  6 S 2.35-2.49
Al2 0.0045 0.4927 0.4993  6 S 2.38-2.45
Al3 0.6679 0.1630 0.8359  6 S 2.39-2.46
Al4 0.1636 0.1636 0.3390  6 S 2.35-2.48
Al5 0.8369 0.8369 0.6677  6 S 2.39-2.47
Al6 0.8216 0.3392 0.1628  6 S 2.35-2.49
Al7 0.4927 0.0045 0.4993  6 S 2.38-2.45
Al8 0.1630 0.6679 0.8359  6 S 2.39-2.46
Al9 0.3394 0.3394 0.1625  6 S 2.35-2.47
Al10 0.6688 0.6688 0.8359  6 S 2.38-2.45
Al11 0.8304 0.8304 0.2938  4 S 2.24-2.32
Al12 0.4927 0.4927 0.6248  4 S 2.25-2.35
Al13 0.1664 0.1664 0.9510  4 S 2.24-2.40
Cu1 0.8337 0.8337 0.0448  4 S 2.25-2.32
Cu2 0.5035 0.5035 0.3769  4 S 2.25-2.32
Cu3 0.1664 0.1664 0.7059  4 S 2.22-2.31
S1 0.6572 0.6572 0.0855  1 Cu 2.25, 2 Al 2.35
S2 0.3238 0.3238 0.4181  1 Cu 2.29, 3 Al 2.38-2.40
S3 0.9905 0.9905 0.7535  1 Cu 2.28, 3 Al 2.39-2.43
S4 0.1849 0.6578 0.0855  1 Cu 2.26, 2 Al 2.35
S5 0.8514 0.3269 0.4192  1 Cu 2.25, 2 Al 2.35-2.38
S6 0.5219 0.9882 0.7522  1 Cu 2.31, 3 Al 2.41-2.43
S7 0.4997 0.4997 0.2427  1 Cu 2.32, 3 Al 2.39-2.40
S8 0.1700 0.1700 0.5772  1 Cu 2.22, 2 Al 2.38
S9 0.8332 0.8332 0.9106  1 Cu 2.32, 3 Al 2.38-2.39
S10 0.6578 0.1849 0.0855  1 Cu 2.26, 2 Al 2.35
S11 0.3269 0.8514 0.4192  1 Cu 2.25, 2 Al 2.35-2.38
S12 0.9882 0.5219 0.7522  1 Cu 2.31, 3 Al 2.41-2.43
S13 0.0125 0.4758 0.2468  4 Al 2.31-2.48
S14 0.6752 0.1461 0.5808  3 Al 2.25-2.43
S15 0.3430 0.8135 0.9136  3 Al 2.25-2.40
S16 0.1665 0.1665 0.0900  4 Al 2.40-2.45
S17 0.8316 0.8316 0.4236  3 Al 2.24-2.44
S18 0.5006 0.5006 0.7581  4 Al 2.30-2.46
S19 0.4758 0.0125 0.2468  4 Al 2.31-2.48
S20 0.1461 0.6752 0.5808  3 Al 2.25-2.43
S21 0.8135 0.3430 0.9136  3 Al 2.25-2.40
S22 0.0105 0.0105 0.2474  4 Al 2.32-2.49
S23 0.6759 0.6759 0.5808  4 Al 2.35-2.47
S24 0.3435 0.3435 0.9134  3 Al 2.24-2.39

Values from the calculation:
Space group: Cm
Density (Mg/m³): 2.95
E (eV per atom): -4.80

Record 5
Compound: NiMo3S4
Source: the Materials Project database
Functional: PBE
Structure: relaxed

Cell: 6.4167 6.5691 6.5898 Å, 98.21 97.02 91.40°
With the nearest neighbours (Å) after each atom.
Fractional positions:
Ni1 0.1652 0.9085 0.9432  4 S 2.23-2.42
Ni2 0.8348 0.0915 0.0568  4 S 2.23-2.42
Mo1 0.4580 0.6033 0.7932  5 S 2.40-2.56
Mo2 0.7806 0.4563 0.5903  5 S 2.44-2.55, 2 Mo 2.70-2.72
Mo3 0.4078 0.2128 0.5355  5 S 2.41-2.54, 1 Mo 2.70
Mo4 0.5922 0.7872 0.4645  5 S 2.41-2.54, 1 Mo 2.70
Mo5 0.2194 0.5437 0.4097  5 S 2.44-2.55, 2 Mo 2.70-2.72
Mo6 0.5420 0.3967 0.2068  5 S 2.40-2.56
S1 0.6418 0.2809 0.8556  1 Ni 2.23, 3 Mo 2.41-2.50
S2 0.1429 0.3862 0.7184  4 Mo 2.40-2.50
S3 0.8028 0.8116 0.8068  2 Ni 2.27-2.42, 1 Mo 2.47
S4 0.2696 0.8771 0.6302  1 Ni 2.23, 2 Mo 2.44-2.49
S5 0.7304 0.1229 0.3698  1 Ni 2.23, 2 Mo 2.44-2.49
S6 0.1972 0.1884 0.1932  2 Ni 2.27-2.42, 1 Mo 2.47
S7 0.8571 0.6138 0.2816  4 Mo 2.40-2.50
S8 0.3582 0.7191 0.1444  1 Ni 2.23, 3 Mo 2.41-2.50

Values from the calculation:
Space group: P-1
Density (Mg/m³): 5.78
E (eV per atom): -7.44

Record 6
Compound: Sr4CoN4
Source: the Materials Project database
Functional: PBE
Structure: relaxed

Cell: 6.4489 6.5960 8.6237 Å, 74.05 82.46 65.09°
With the nearest neighbours (Å) after each atom.
Fractional positions:
Sr1 0.8359 0.5914 0.1414  5 N 2.62-2.89
Sr2 0.1641 0.4086 0.8586  5 N 2.62-2.89
Sr3 0.7040 0.2158 0.9589  4 N 2.50-2.68
Sr4 0.2960 0.7842 0.0411  4 N 2.50-2.68
Sr5 0.7324 0.5116 0.5649  4 N 2.47-2.71
Sr6 0.2676 0.4884 0.4351  4 N 2.47-2.71
Sr7 0.2354 0.9367 0.6261  3 N 2.52-2.72
Sr8 0.7646 0.0633 0.3739  3 N 2.52-2.72
Co1 0.7593 0.8633 0.7487  4 N 1.81-1.86
Co2 0.2407 0.1367 0.2513  4 N 1.81-1.86
N1 0.9697 0.7242 0.5998  1 Co 1.86
N2 0.0303 0.2758 0.4002  1 Co 1.86
N3 0.9690 0.8428 0.8831  1 Co 1.83
N4 0.0310 0.1572 0.1169  1 Co 1.83
N5 0.6561 0.6407 0.8436  1 Co 1.81
N6 0.3439 0.3593 0.1564  1 Co 1.81
N7 0.4556 0.8427 0.3279  1 Co 1.84
N8 0.5444 0.1573 0.6721  1 Co 1.84

Values from the calculation:
Space group: P-1
Density (Mg/m³): 4.83
E (eV per atom): -5.61

Record 7
Compound: K2InCuBr6
Source: the Materials Project database
Functional: PBE
Structure: relaxed

Cell: 7.6237 7.6237 7.6237 Å, 60.00 60.00 60.00°
With the nearest neighbours (Å) after each atom.
Fractional positions:
K1 0.7500 0.7500 0.7500  12 Br 3.81
K2 0.2500 0.2500 0.2500  12 Br 3.81
In1 0.0000 0.0000 0.0000  6 Br 2.75
Cu1 0.5000 0.5000 0.5000  6 Br 2.64
Br1 0.7450 0.2550 0.2550  1 Cu 2.64, 1 In 2.75
Br2 0.2550 0.2550 0.7450  1 Cu 2.64, 1 In 2.75
Br3 0.2550 0.7450 0.7450  1 Cu 2.64, 1 In 2.75
Br4 0.2550 0.7450 0.2550  1 Cu 2.64, 1 In 2.75
Br5 0.7450 0.2550 0.7450  1 Cu 2.64, 1 In 2.75
Br6 0.7450 0.7450 0.2550  1 Cu 2.64, 1 In 2.75

Values from the calculation:
Space group: Fm-3m
Density (Mg/m³): 3.90
E (eV per atom): -2.94

Record 8
Compound: SrReN2
Source: the Materials Project database
Functional: PBE
Structure: relaxed

Cell: 6.9262 7.4101 5.1380 Å, 90.00 111.78 90.00°
With the nearest neighbours (Å) after each atom.
Fractional positions:
Sr1 0.3304 0.9112 0.6652  7 N 2.53-2.82
Sr2 0.6696 0.4112 0.8348  7 N 2.53-2.82
Sr3 0.6696 0.0888 0.3348  7 N 2.53-2.82
Sr4 0.3304 0.5888 0.1652  7 N 2.53-2.82
Re1 0.1405 0.3435 0.5703  4 N 1.89-2.11
Re2 0.8595 0.8435 0.9297  4 N 1.89-2.11
Re3 0.8595 0.6565 0.4297  4 N 1.89-2.11
Re4 0.1405 0.1565 0.0703  4 N 1.89-2.11
N1 0.1799 0.9042 0.0900  2 Re 1.89-2.11
N2 0.8201 0.4042 0.4100  2 Re 1.89-2.11
N3 0.8201 0.0958 0.9100  2 Re 1.89-2.11
N4 0.1799 0.5958 0.5900  2 Re 1.89-2.11
N5 0.3461 0.2499 0.9230  2 Re 1.97
N6 0.6539 0.7499 0.5770  2 Re 1.97
N7 0.6539 0.7501 0.0770  2 Re 1.97
N8 0.3461 0.2501 0.4230  2 Re 1.97

Values from the calculation:
Space group: Cmce
Density (Mg/m³): 8.19
E (eV per atom): -8.18

What did we get for formation energy? Answer: -0.06; 1.17; -3.28; -1.09; -0.83; -0.53; -1.37; -0.66 eV per atom, in the order shown.